(1)
An optimized crystal structure of GdUN2. Source: Materials Project, functional r²SCAN.

Lattice parameters (Å, degrees): 3.4645 3.4645 6.1279 73.58 90.00 120.00
Closest atoms and distances in Å follow each position.
Element x y z (fractional)
Gd  0.2500  0.5000  0.2500  6 N 2.51
U  0.7500  0.5000  0.7500  6 N 2.43
N  0.0041  0.0081  0.9878  3 U 2.43, 3 Gd 2.51
N  0.4959  0.9919  0.5122  3 U 2.43, 3 Gd 2.51

For the formation enthalpy at 0 K, the calculation gives -1716.1 meV per atom. The total DFT energy (no corrections) is -37.1152 eV per atom.

(2)
An optimized crystal structure of SnO2. Source: Materials Project, functional r²SCAN.

Lattice parameters (Å, degrees): 4.7267 5.7633 15.9262 90.00 90.00 90.00
Closest atoms and distances in Å follow each position.
Element x y z (fractional)
Sn  0.9974  0.3465  0.4161  6 O 2.06-2.08
Sn  0.5026  0.1535  0.9161  6 O 2.06-2.08
Sn  0.0026  0.3465  0.0839  6 O 2.06-2.08
Sn  0.0000  0.0281  0.2500  6 O 2.03-2.10
Sn  0.9974  0.6535  0.9161  6 O 2.06-2.08
Sn  0.4974  0.8465  0.0839  6 O 2.06-2.08
Sn  0.4974  0.1535  0.5839  6 O 2.06-2.08
Sn  0.5000  0.4719  0.7500  6 O 2.03-2.10
Sn  0.5026  0.8465  0.4161  6 O 2.06-2.08
Sn  0.5000  0.5281  0.2500  6 O 2.03-2.10
Sn  0.0026  0.6535  0.5839  6 O 2.06-2.08
Sn  0.0000  0.9719  0.7500  6 O 2.03-2.10
O  0.2129  0.9297  0.8622  3 Sn 2.07-2.08
O  0.2730  0.1980  0.6949  3 Sn 2.03-2.10
O  0.7871  0.9297  0.6378  3 Sn 2.07-2.08
O  0.7086  0.1249  0.4705  3 Sn 2.06-2.07
O  0.2270  0.3020  0.1949  3 Sn 2.03-2.10
O  0.2871  0.4297  0.8622  3 Sn 2.07-2.08
O  0.7129  0.5703  0.1378  3 Sn 2.07-2.08
O  0.7914  0.3751  0.9705  3 Sn 2.06-2.07
O  0.7086  0.8751  0.9705  3 Sn 2.06-2.07
O  0.2086  0.6249  0.0295  3 Sn 2.06-2.07
O  0.2871  0.5703  0.3622  3 Sn 2.07-2.08
O  0.7129  0.4297  0.6378  3 Sn 2.07-2.08
O  0.2914  0.1249  0.0295  3 Sn 2.06-2.07
O  0.2914  0.8751  0.5295  3 Sn 2.06-2.07
O  0.7730  0.6980  0.8051  3 Sn 2.03-2.10
O  0.2129  0.0703  0.3622  3 Sn 2.07-2.08
O  0.7871  0.0703  0.1378  3 Sn 2.07-2.08
O  0.2730  0.8020  0.1949  3 Sn 2.03-2.10
O  0.7270  0.1980  0.8051  3 Sn 2.03-2.10
O  0.7730  0.3020  0.3051  3 Sn 2.03-2.10
O  0.7270  0.8020  0.3051  3 Sn 2.03-2.10
O  0.2086  0.3751  0.5295  3 Sn 2.06-2.07
O  0.7914  0.6249  0.4705  3 Sn 2.06-2.07
O  0.2270  0.6980  0.6949  3 Sn 2.03-2.10

For the formation enthalpy at 0 K, the calculation gives -1868.5 meV per atom. The total DFT energy (no corrections) is -14.0989 eV per atom.

(3)
An optimized crystal structure of Nd2Al3Ge. Source: Materials Project, functional r²SCAN.

Lattice parameters (Å, degrees): 4.2871 4.3200 7.5008 90.00 90.00 90.00
Closest atoms and distances in Å follow each position.
Element x y z (fractional)
Nd  0.0000  0.5000  0.0049  10 Al 3.28-3.33, 2 Ge 3.28
Nd  0.0000  0.0000  0.4958  8 Al 3.27-3.31, 4 Ge 3.27
Al  0.5000  0.0000  0.8314  3 Al 2.49-2.51
Al  0.5000  0.0000  0.1665  2 Ge 2.51, 1 Al 2.51
Al  0.5000  0.5000  0.6656  1 Ge 2.47, 2 Al 2.49
Ge  0.5000  0.5000  0.3358  3 Al 2.47-2.51

For the formation enthalpy at 0 K, the calculation gives -661.3 meV per atom. The total DFT energy (no corrections) is -16.1453 eV per atom.